Density functional theory data (PBE-GGA) for a geometry-optimized NaTaO3 structure.

a = 5.5571 Å, b = 5.5571 Å, c = 7.9028 Å
α = 90.00°, β = 90.00°, γ = 90.51°
Closest atoms and distances in Å follow each position.
Fractional positions:
O1 0.2894 0.2894 0.0000  2 Ta 2.00
Na1 0.5028 0.4972 0.2500  8 O 2.57-2.82
O2 0.7106 0.7106 0.0000  2 Ta 2.00
O3 0.5426 0.0313 0.7500  2 Ta 2.00
O4 0.2120 0.7880 0.5362  2 Ta 2.00
Na2 0.0097 0.9903 0.2500  4 O 2.43-2.49
Ta1 0.5000 0.0000 0.0000  6 O 2.00
O5 0.9687 0.4574 0.7500  2 Ta 2.00
Ta2 0.0000 0.5000 0.5000  6 O 2.00
O6 0.4574 0.9687 0.2500  2 Ta 2.00
Ta3 0.0000 0.5000 0.0000  6 O 2.00
O7 0.7880 0.2120 0.0362  2 Ta 2.00
Ta4 0.5000 0.0000 0.5000  6 O 2.00
Na3 0.9903 0.0097 0.7500  4 O 2.43-2.49
O8 0.2894 0.2894 0.5000  2 Ta 2.00
O9 0.2120 0.7880 0.9638  2 Ta 2.00
O10 0.7106 0.7106 0.5000  2 Ta 2.00
Na4 0.4972 0.5028 0.7500  8 O 2.57-2.82
O11 0.0313 0.5426 0.2500  2 Ta 2.00
O12 0.7880 0.2120 0.4638  2 Ta 2.00

Corrected total energy (MP2020 scheme)   -8.6721 eV per atom

---

Density functional theory data (PBE-GGA) for a geometry-optimized KNaCu3S3O13 structure.

a = 9.5370 Å, b = 10.5060 Å, c = 14.6126 Å
α = 111.48°, β = 90.00°, γ = 116.99°
Closest atoms and distances in Å follow each position.
Fractional positions:
S1 0.7507 0.0048 0.5149  4 O 1.48-1.51
O1 0.9447 0.6633 0.1877  1 S 1.51
O2 0.5408 0.1965 0.9150  1 S 1.51
S2 0.1966 0.3085 0.7937  4 O 1.46-1.51
K1 0.4503 0.3848 0.6285  6 O 2.68-2.89
O3 0.8974 0.0946 0.4797  1 S 1.51
O4 0.5436 0.3400 0.3705  1 S 1.51
O5 0.3881 0.1255 0.1020  1 S 1.49
O6 0.3396 0.4579 0.8126  1 S 1.46
Cu1 0.0452 0.0322 0.8596  4 O 1.96-2.03
Cu2 0.0130 0.9678 0.6404  4 O 1.96-2.03
S3 0.2493 0.9952 0.4851  4 O 1.48-1.51
O7 0.1023 0.0000 0.2500  4 Cu 1.96
Cu3 0.9548 0.9678 0.1404  4 O 1.96-2.03
O8 0.7186 0.6633 0.6877  1 S 1.51
O9 0.8977 0.0000 0.7500  4 Cu 1.96
S4 0.1119 0.3085 0.2937  4 O 1.46-1.51
O10 0.6890 0.0853 0.0669  1 S 1.50
S5 0.8881 0.6915 0.7063  4 O 1.46-1.51
O11 0.1972 0.0946 0.9797  1 S 1.51
Cu4 0.4958 0.0326 0.6575  4 O 1.97-2.03
O12 0.3878 0.0000 0.2500  4 Cu 1.96-1.97
O13 0.1026 0.9054 0.5203  1 S 1.51
O14 0.9655 0.8022 0.8145  1 S 1.51
O15 0.9791 0.7618 0.6384  1 S 1.50
O16 0.4564 0.6600 0.6295  1 S 1.51
O17 0.6283 0.4576 0.9291  1 S 1.46
K2 0.0655 0.6152 0.8715  6 O 2.68-2.89
O18 0.0345 0.1978 0.1855  1 S 1.51
O19 0.6119 0.8745 0.8980  1 S 1.49
O20 0.7665 0.8879 0.5414  1 S 1.48
O21 0.2173 0.2382 0.8616  1 S 1.50
O22 0.2036 0.6600 0.1295  1 S 1.51
O23 0.6604 0.5421 0.1874  1 S 1.46
O24 0.0553 0.3367 0.8123  1 S 1.51
Na1 0.5584 0.6503 0.9537  4 O 2.32-2.51
Cu5 0.5042 0.9674 0.3425  4 O 1.97-2.03
S6 0.3739 0.6889 0.1318  4 O 1.46-1.51
S7 0.7459 0.9952 0.9851  4 O 1.48-1.51
O25 0.3110 0.9147 0.9331  1 S 1.50
O26 0.1707 0.5424 0.5709  1 S 1.46
O27 0.0209 0.2382 0.3616  1 S 1.50
S8 0.6850 0.3111 0.3682  4 O 1.46-1.51
S9 0.8034 0.6915 0.2063  4 O 1.46-1.51
O28 0.8028 0.9054 0.0203  1 S 1.51
O29 0.7964 0.3400 0.8705  1 S 1.51
K3 0.9345 0.3848 0.1285  6 O 2.68-2.89
O30 0.2626 0.8745 0.3980  1 S 1.49
O31 0.7374 0.1255 0.6020  1 S 1.49
O32 0.8785 0.1121 0.9586  1 S 1.48
S10 0.3150 0.6889 0.6318  4 O 1.46-1.51
Na2 0.0919 0.6503 0.4537  4 O 2.32-2.51
Cu6 0.6728 0.8350 0.7055  4 O 1.96-1.98
O33 0.4592 0.8035 0.0850  1 S 1.51
K4 0.5497 0.6152 0.3715  6 O 2.68-2.89
O34 0.2335 0.1121 0.4586  1 S 1.48
O35 0.6122 0.0000 0.7500  4 Cu 1.96-1.97
Na3 0.9081 0.3497 0.5463  4 O 2.32-2.51
O36 0.1634 0.1978 0.6855  1 S 1.51
Cu7 0.4631 0.9674 0.8425  4 O 1.97-2.03
O37 0.3443 0.8035 0.5850  1 S 1.51
O38 0.2976 0.7540 0.7381  1 S 1.49
O39 0.8293 0.4576 0.4291  1 S 1.46
O40 0.7827 0.7618 0.1384  1 S 1.50
Cu8 0.3272 0.1650 0.2945  4 O 1.96-1.98
Cu9 0.1622 0.8350 0.2055  4 O 1.96-1.98
O41 0.6557 0.1965 0.4150  1 S 1.51
Cu10 0.9870 0.0322 0.3596  4 O 1.96-2.03
O42 0.3963 0.0853 0.5669  1 S 1.50
O43 0.3717 0.5424 0.0709  1 S 1.46
O44 0.6037 0.9147 0.4331  1 S 1.50
O45 0.8817 0.5421 0.6874  1 S 1.46
Na4 0.4416 0.3497 0.0463  4 O 2.32-2.51
O46 0.2814 0.3367 0.3123  1 S 1.51
O47 0.1183 0.4579 0.3126  1 S 1.46
O48 0.4564 0.7540 0.2381  1 S 1.49
Cu11 0.8378 0.1650 0.7945  4 O 1.96-1.98
S11 0.2541 0.0048 0.0149  4 O 1.48-1.51
O49 0.7024 0.2460 0.2619  1 S 1.49
O50 0.5436 0.2460 0.7619  1 S 1.49
Cu12 0.5369 0.0326 0.1575  4 O 1.97-2.03
O51 0.8366 0.8022 0.3145  1 S 1.51
O52 0.1215 0.8879 0.0414  1 S 1.48
S12 0.6261 0.3111 0.8682  4 O 1.46-1.51

Corrected total energy (MP2020 scheme)   -6.0945 eV per atom

---

Density functional theory data (PBE-GGA) for a geometry-optimized Tb4Cu7Sn11 structure.

a = 4.4179 Å, b = 4.4179 Å, c = 25.2409 Å
α = 90.00°, β = 90.00°, γ = 90.00°
Closest atoms and distances in Å follow each position.
Fractional positions:
Sn1 0.0000 0.0000 0.1369  5 Cu 2.47-2.59
Cu1 0.5000 0.0000 0.0837  4 Sn 2.59-2.69
Sn2 0.5000 0.0000 0.4052  5 Sn 2.92-3.12, 2 Tb 3.26
Tb1 0.0000 0.0000 0.9980  4 Cu 3.09, 8 Sn 3.19-3.26
Sn3 0.5000 0.0000 0.9028  5 Sn 2.97-3.12, 2 Tb 3.26
Sn4 0.5000 0.5000 0.0232  4 Cu 2.69
Tb2 0.0000 0.0000 0.6774  12 Cu 3.12-3.36
Cu2 0.5000 0.0000 0.5900  2 Cu 2.46, 2 Sn 2.64
Sn5 0.0000 0.5000 0.4052  5 Sn 2.92-3.12, 2 Tb 3.26
Sn6 0.0000 0.0000 0.5326  4 Cu 2.64
Sn7 0.0000 0.5000 0.7852  2 Cu 2.66, 1 Sn 2.97
Cu3 0.5000 0.5000 0.6328  5 Cu 2.36-2.46
Sn8 0.0000 0.5000 0.2896  2 Cu 2.61, 1 Sn 2.92
Sn9 0.5000 0.0000 0.2896  2 Cu 2.61, 1 Sn 2.92
Tb3 0.5000 0.5000 0.5003  5 Cu 3.16-3.35, 8 Sn 3.23-3.26
Tb4 0.5000 0.5000 0.1826  8 Sn 3.33-3.49, 8 Cu 3.33-3.39
Cu4 0.0000 0.5000 0.5900  2 Cu 2.46, 2 Sn 2.64
Cu5 0.0000 0.5000 0.0837  4 Sn 2.59-2.69
Sn10 0.0000 0.5000 0.9028  5 Sn 2.97-3.12, 2 Tb 3.26
Sn11 0.5000 0.0000 0.7852  2 Cu 2.66, 1 Sn 2.97
Cu6 0.5000 0.5000 0.7262  1 Cu 2.36
Cu7 0.0000 0.0000 0.2347  5 Sn 2.47-2.61

---

Density functional theory data (PBE-GGA) for a geometry-optimized Sc2IrRh structure.

a = 4.5757 Å, b = 4.5757 Å, c = 4.5757 Å
α = 60.00°, β = 60.00°, γ = 60.00°
Closest atoms and distances in Å follow each position.
Fractional positions:
Sc1 0.2500 0.2500 0.2500  4 Ir 2.80, 4 Rh 2.80
Rh1 0.0000 0.0000 0.0000  8 Sc 2.80
Sc2 0.7500 0.7500 0.7500  4 Rh 2.80, 4 Ir 2.80
Ir1 0.5000 0.5000 0.5000  8 Sc 2.80

---

What E_form values result from the calculations? In sequence: -3.07 -1.74 -0.28 -1.04 eV/atom.
What calculated total energy values result from the calculations? In sequence: -0.30355 -0.20834 -0.16303 -0.30352 Ha/atom.